No. 1
# Na4W9O27

A geometry-optimized Na4W9O27 structure (PBE with a Hubbard U, the Materials Project).

Computed properties:
- symmetry = No. 12
- ΔH_f (0 K) (eV/atom) = -2.1886
- E (eV per atom) = -7.114
- total energy after the MP2020 corrections (eV/cell) = -343.1

a = 9.546 Å, b = 9.546 Å, c = 11.698 Å
α = 114.09°, β = 114.09°, γ = 33.57°
Fractional positions:
1 Na 0.000 0.000 0.167
2 Na 0.000 0.000 0.833
3 Na 0.333 0.333 0.389
4 Na 0.667 0.667 0.611
5 W 0.167 0.167 0.444
6 W 0.168 0.168 0.111
7 W 0.168 0.168 0.780
8 W 0.499 0.499 0.333
9 W 0.500 0.500 0.000
10 W 0.501 0.501 0.667
11 W 0.832 0.832 0.220
12 W 0.832 0.832 0.889
13 W 0.833 0.833 0.556
14 O 0.000 0.500 0.500
15 O 0.003 0.498 0.169
16 O 0.164 0.673 0.946
17 O 0.165 0.165 0.944
18 O 0.166 0.667 0.278
19 O 0.167 0.167 0.278
20 O 0.167 0.167 0.611
21 O 0.167 0.667 0.611
22 O 0.327 0.836 0.054
23 O 0.333 0.833 0.389
24 O 0.333 0.834 0.722
25 O 0.498 0.003 0.169
26 O 0.500 0.000 0.500
27 O 0.500 0.500 0.167
28 O 0.500 0.500 0.500
29 O 0.500 0.500 0.833
30 O 0.502 0.997 0.831
31 O 0.667 0.166 0.278
32 O 0.667 0.167 0.611
33 O 0.673 0.164 0.946
34 O 0.833 0.333 0.389
35 O 0.833 0.833 0.389
36 O 0.833 0.833 0.722
37 O 0.834 0.333 0.722
38 O 0.835 0.835 0.056
39 O 0.836 0.327 0.054
40 O 0.997 0.502 0.831

---

No. 2
# MgFe3Co5O16

A geometry-optimized MgFe3Co5O16 structure (PBE with a Hubbard U, the Materials Project).

Computed properties:
- symmetry = No. 1
- ΔH_f (0 K) (eV/atom) = -1.2391
- E (eV per atom) = -5.870
- total energy after the MP2020 corrections (eV/cell) = -172.7

a = 5.746 Å, b = 5.826 Å, c = 9.131 Å
α = 88.92°, β = 89.93°, γ = 60.51°
Fractional positions:
1 Mg 0.000 0.000 0.000
2 Fe 0.141 0.216 0.704
3 Fe 0.632 0.211 0.702
4 Fe 0.811 0.365 0.232
5 Co 0.146 0.699 0.707
6 Co 0.309 0.369 0.989
7 Co 0.323 0.857 0.240
8 Co 0.646 0.704 0.497
9 Co 0.810 0.858 0.239
10 O 0.019 0.539 0.851
11 O 0.147 0.192 0.110
12 O 0.153 0.687 0.124
13 O 0.292 0.392 0.599
14 O 0.328 0.853 0.610
15 O 0.434 0.098 0.851
16 O 0.435 0.530 0.850
17 O 0.489 0.574 0.365
18 O 0.499 0.993 0.358
19 O 0.630 0.728 0.131
20 O 0.656 0.188 0.107
21 O 0.805 0.386 0.602
22 O 0.811 0.854 0.609
23 O 0.928 0.575 0.363
24 O 0.981 0.032 0.798
25 O 0.988 0.014 0.330

---

No. 3
# LaCrSe2O

A geometry-optimized LaCrSe2O structure (PBE with a Hubbard U, the Materials Project).

Computed properties:
- symmetry = No. 12
- ΔH_f (0 K) (eV/atom) = -1.9495
- E (eV per atom) = -6.718
- total energy after the MP2020 corrections (eV/cell) = -72.6

a = 6.258 Å, b = 6.258 Å, c = 8.420 Å
α = 90.15°, β = 90.15°, γ = 36.61°
Fractional positions:
1 La 0.228 0.228 0.307
2 La 0.772 0.772 0.693
3 Cr 0.000 0.000 0.000
4 Cr 0.500 0.500 0.500
5 Se 0.047 0.047 0.699
6 Se 0.360 0.360 0.972
7 Se 0.640 0.640 0.028
8 Se 0.953 0.953 0.301
9 O 0.334 0.334 0.559
10 O 0.666 0.666 0.441

---

No. 4
# MgSb4W2O12

A geometry-optimized MgSb4W2O12 structure (PBE with a Hubbard U, the Materials Project).

Computed properties:
- symmetry = No. 1
- ΔH_f (0 K) (eV/atom) = -1.9430
- E (eV per atom) = -6.484
- total energy after the MP2020 corrections (eV/cell) = -140.3

a = 5.429 Å, b = 5.676 Å, c = 9.628 Å
α = 86.14°, β = 89.53°, γ = 89.48°
Fractional positions:
1 Mg 0.000 0.000 0.000
2 Sb 0.086 0.841 0.401
3 Sb 0.441 0.358 0.418
4 Sb 0.621 0.670 0.770
5 Sb 0.976 0.169 0.700
6 W 0.023 0.490 0.086
7 W 0.516 0.988 0.092
8 O 0.166 0.482 0.270
9 O 0.180 0.141 0.514
10 O 0.253 0.748 0.028
11 O 0.260 0.244 0.027
12 O 0.303 0.629 0.520
13 O 0.380 0.980 0.287
14 O 0.684 0.983 0.898
15 O 0.711 0.382 0.633
16 O 0.794 0.734 0.138
17 O 0.804 0.232 0.129
18 O 0.832 0.871 0.636
19 O 0.902 0.527 0.894

---

No. 5
# Cs2ZrAl2Mo6O24

A geometry-optimized Cs2ZrAl2Mo6O24 structure (PBE with a Hubbard U, the Materials Project).

Computed properties:
- symmetry = No. 2
- ΔH_f (0 K) (eV/atom) = -2.4072
- E (eV per atom) = -7.149
- total energy after the MP2020 corrections (eV/cell) = -285.9

a = 8.637 Å, b = 8.642 Å, c = 8.822 Å
α = 99.13°, β = 98.96°, γ = 99.56°
Fractional positions:
1 Cs 0.173 0.173 0.178
2 Cs 0.827 0.827 0.822
3 Zr 0.500 0.500 0.000
4 Al 0.000 0.500 0.500
5 Al 0.500 0.000 0.500
6 Mo 0.210 0.223 0.660
7 Mo 0.224 0.681 0.229
8 Mo 0.319 0.789 0.761
9 Mo 0.681 0.211 0.239
10 Mo 0.776 0.319 0.771
11 Mo 0.790 0.777 0.340
12 O 0.038 0.097 0.681
13 O 0.105 0.711 0.062
14 O 0.107 0.573 0.345
15 O 0.130 0.672 0.656
16 O 0.153 0.365 0.541
17 O 0.285 0.956 0.879
18 O 0.310 0.330 0.857
19 O 0.339 0.114 0.563
20 O 0.343 0.871 0.331
21 O 0.356 0.546 0.167
22 O 0.430 0.675 0.883
23 O 0.448 0.850 0.630
24 O 0.552 0.150 0.370
25 O 0.570 0.325 0.117
26 O 0.644 0.454 0.833
27 O 0.657 0.129 0.669
28 O 0.661 0.886 0.437
29 O 0.690 0.670 0.143
30 O 0.715 0.044 0.121
31 O 0.847 0.635 0.459
32 O 0.870 0.328 0.344
33 O 0.893 0.427 0.655
34 O 0.895 0.289 0.938
35 O 0.962 0.903 0.319

---

No. 6
# Li4CoNi5O12

A geometry-optimized Li4CoNi5O12 structure (PBE with a Hubbard U, the Materials Project).

Computed properties:
- symmetry = No. 12
- ΔH_f (0 K) (eV/atom) = -1.2993
- E (eV per atom) = -4.955
- total energy after the MP2020 corrections (eV/cell) = -131.6

a = 4.943 Å, b = 4.943 Å, c = 9.959 Å
α = 90.64°, β = 90.64°, γ = 118.87°
Fractional positions:
1 Li 0.150 0.665 0.748
2 Li 0.335 0.850 0.252
3 Li 0.665 0.150 0.748
4 Li 0.850 0.335 0.252
5 Co 0.000 0.000 0.500
6 Ni 0.166 0.834 0.000
7 Ni 0.337 0.663 0.500
8 Ni 0.500 0.500 0.000
9 Ni 0.663 0.337 0.500
10 Ni 0.834 0.166 0.000
11 O 0.016 0.680 0.396
12 O 0.173 0.173 0.901
13 O 0.176 0.528 0.104
14 O 0.320 0.984 0.604
15 O 0.326 0.326 0.405
16 O 0.472 0.824 0.896
17 O 0.528 0.176 0.104
18 O 0.674 0.674 0.595
19 O 0.680 0.016 0.396
20 O 0.824 0.472 0.896
21 O 0.827 0.827 0.099
22 O 0.984 0.320 0.604

---

No. 7
# YNiO3

A geometry-optimized YNiO3 structure (PBE with a Hubbard U, the Materials Project).

Computed properties:
- symmetry = No. 185
- ΔH_f (0 K) (eV/atom) = -2.4038
- E (eV per atom) = -6.902
- total energy after the MP2020 corrections (eV/cell) = -234.7

a = 6.181 Å, b = 6.181 Å, c = 11.360 Å
α = 90.00°, β = 90.00°, γ = 120.00°
Fractional positions:
1 Y 0.000 0.000 0.000
2 Y 0.000 0.000 0.500
3 Y 0.333 0.667 0.457
4 Y 0.333 0.667 0.957
5 Y 0.667 0.333 0.457
6 Y 0.667 0.333 0.957
7 Ni 0.000 0.333 0.225
8 Ni 0.000 0.667 0.725
9 Ni 0.333 0.000 0.225
10 Ni 0.333 0.333 0.725
11 Ni 0.667 0.000 0.725
12 Ni 0.667 0.667 0.225
13 O 0.000 0.000 0.203
14 O 0.000 0.000 0.703
15 O 0.000 0.309 0.388
16 O 0.000 0.357 0.061
17 O 0.000 0.643 0.561
18 O 0.000 0.691 0.888
19 O 0.309 0.000 0.388
20 O 0.309 0.309 0.888
21 O 0.333 0.667 0.242
22 O 0.333 0.667 0.742
23 O 0.357 0.000 0.061
24 O 0.357 0.357 0.561
25 O 0.643 0.000 0.561
26 O 0.643 0.643 0.061
27 O 0.667 0.333 0.242
28 O 0.667 0.333 0.742
29 O 0.691 0.000 0.888
30 O 0.691 0.691 0.388

---

No. 8
# RbBa2Fe2F9

A geometry-optimized RbBa2Fe2F9 structure (PBE with a Hubbard U, the Materials Project).

Computed properties:
- symmetry = No. 160
- ΔH_f (0 K) (eV/atom) = -3.1407
- E (eV per atom) = -5.306
- total energy after the MP2020 corrections (eV/cell) = -83.0

a = 7.857 Å, b = 7.857 Å, c = 7.857 Å
α = 44.83°, β = 44.83°, γ = 44.83°
Fractional positions:
1 Rb 0.000 0.000 0.000
2 Ba 0.214 0.214 0.214
3 Ba 0.420 0.420 0.420
4 Fe 0.609 0.609 0.609
5 Fe 0.822 0.822 0.822
6 F 0.003 0.478 0.478
7 F 0.221 0.707 0.707
8 F 0.431 0.948 0.948
9 F 0.478 0.003 0.478
10 F 0.478 0.478 0.003
11 F 0.707 0.221 0.707
12 F 0.707 0.707 0.221
13 F 0.948 0.431 0.948
14 F 0.948 0.948 0.431

---

No. 9
# Li4Ti5Mn4O18

A geometry-optimized Li4Ti5Mn4O18 structure (PBE with a Hubbard U, the Materials Project).

Computed properties:
- symmetry = No. 55
- ΔH_f (0 K) (eV/atom) = -2.7537
- E (eV per atom) = -7.715
- total energy after the MP2020 corrections (eV/cell) = -516.4

a = 9.110 Å, b = 26.394 Å, c = 2.918 Å
α = 90.00°, β = 90.00°, γ = 90.00°
Fractional positions:
1 Li 0.189 0.008 0.000
2 Li 0.205 0.813 0.000
3 Li 0.295 0.313 0.000
4 Li 0.311 0.508 0.000
5 Li 0.689 0.492 0.000
6 Li 0.705 0.687 0.000
7 Li 0.795 0.187 0.000
8 Li 0.811 0.992 0.000
9 Ti 0.000 0.500 0.000
10 Ti 0.002 0.102 0.000
11 Ti 0.143 0.192 0.500
12 Ti 0.357 0.692 0.500
13 Ti 0.498 0.602 0.000
14 Ti 0.500 0.000 0.000
15 Ti 0.502 0.398 0.000
16 Ti 0.643 0.308 0.500
17 Ti 0.857 0.808 0.500
18 Ti 0.998 0.898 0.000
19 Mn 0.014 0.692 0.000
20 Mn 0.149 0.412 0.500
21 Mn 0.351 0.912 0.500
22 Mn 0.486 0.192 0.000
23 Mn 0.514 0.808 0.000
24 Mn 0.649 0.088 0.500
25 Mn 0.851 0.588 0.500
26 Mn 0.986 0.308 0.000
27 O 0.012 0.424 0.000
28 O 0.051 0.058 0.500
29 O 0.052 0.844 0.500
30 O 0.094 0.236 0.000
31 O 0.117 0.330 0.500
32 O 0.146 0.501 0.500
33 O 0.147 0.709 0.500
34 O 0.180 0.141 0.000
35 O 0.208 0.915 0.000
36 O 0.292 0.415 0.000
37 O 0.320 0.641 0.000
38 O 0.353 0.209 0.500
39 O 0.354 0.001 0.500
40 O 0.383 0.830 0.500
41 O 0.406 0.736 0.000
42 O 0.448 0.344 0.500
43 O 0.449 0.558 0.500
44 O 0.488 0.924 0.000
45 O 0.512 0.076 0.000
46 O 0.551 0.442 0.500
47 O 0.552 0.656 0.500
48 O 0.594 0.264 0.000
49 O 0.617 0.170 0.500
50 O 0.646 0.999 0.500
51 O 0.647 0.791 0.500
52 O 0.680 0.359 0.000
53 O 0.708 0.585 0.000
54 O 0.792 0.085 0.000
55 O 0.820 0.859 0.000
56 O 0.853 0.291 0.500
57 O 0.854 0.499 0.500
58 O 0.883 0.670 0.500
59 O 0.906 0.764 0.000
60 O 0.948 0.156 0.500
61 O 0.949 0.942 0.500
62 O 0.988 0.576 0.000

---

No. 10
# Li2V3O6

A geometry-optimized Li2V3O6 structure (PBE with a Hubbard U, the Materials Project).

Computed properties:
- symmetry = No. 5
- ΔH_f (0 K) (eV/atom) = -2.4584
- E (eV per atom) = -7.143
- total energy after the MP2020 corrections (eV/cell) = -175.6

a = 6.741 Å, b = 6.741 Å, c = 5.114 Å
α = 97.24°, β = 97.24°, γ = 83.78°
Fractional positions:
1 Li 0.248 0.248 0.239
2 Li 0.416 0.088 0.761
3 Li 0.752 0.752 0.761
4 Li 0.912 0.584 0.239
5 V 0.167 0.833 0.000
6 V 0.331 0.669 0.500
7 V 0.499 0.501 0.000
8 V 0.670 0.330 0.500
9 V 0.832 0.168 0.000
10 V 0.993 0.007 0.500
11 O 0.055 0.733 0.645
12 O 0.118 0.102 0.883
13 O 0.225 0.559 0.135
14 O 0.267 0.945 0.355
15 O 0.397 0.392 0.647
16 O 0.441 0.775 0.865
17 O 0.545 0.232 0.120
18 O 0.608 0.603 0.353
19 O 0.720 0.057 0.635
20 O 0.768 0.455 0.880
21 O 0.898 0.882 0.117
22 O 0.943 0.280 0.365

---

No. 11
# Sr2MnNbO6

A geometry-optimized Sr2MnNbO6 structure (PBE with a Hubbard U, the Materials Project).

Computed properties:
- symmetry = No. 225
- ΔH_f (0 K) (eV/atom) = -2.9645
- E (eV per atom) = -7.619
- total energy after the MP2020 corrections (eV/cell) = -82.0

a = 5.697 Å, b = 5.697 Å, c = 5.697 Å
α = 60.00°, β = 60.00°, γ = 60.00°
Fractional positions:
1 Sr 0.250 0.250 0.250
2 Sr 0.750 0.750 0.750
3 Mn 0.000 0.000 0.000
4 Nb 0.500 0.500 0.500
5 O 0.251 0.251 0.749
6 O 0.251 0.749 0.251
7 O 0.251 0.749 0.749
8 O 0.749 0.251 0.251
9 O 0.749 0.251 0.749
10 O 0.749 0.749 0.251

---

No. 12
# NaNiP2HO7

A geometry-optimized NaNiP2HO7 structure (PBE with a Hubbard U, the Materials Project).

Computed properties:
- symmetry = No. 2
- ΔH_f (0 K) (eV/atom) = -2.2945
- E (eV per atom) = -6.345
- total energy after the MP2020 corrections (eV/cell) = -167.0

a = 6.532 Å, b = 6.544 Å, c = 6.641 Å
α = 84.17°, β = 67.66°, γ = 88.49°
Fractional positions:
1 Na 0.231 0.118 0.255
2 Na 0.769 0.882 0.745
3 Ni 0.288 0.641 0.610
4 Ni 0.712 0.359 0.390
5 P 0.168 0.619 0.136
6 P 0.256 0.143 0.716
7 P 0.744 0.857 0.284
8 P 0.832 0.381 0.864
9 H 0.453 0.802 0.192
10 H 0.547 0.198 0.808
11 O 0.014 0.207 0.874
12 O 0.044 0.421 0.252
13 O 0.224 0.960 0.606
14 O 0.278 0.708 0.281
15 O 0.328 0.615 0.903
16 O 0.364 0.330 0.550
17 O 0.383 0.093 0.870
18 O 0.617 0.907 0.130
19 O 0.636 0.670 0.450
20 O 0.672 0.385 0.097
21 O 0.722 0.292 0.719
22 O 0.776 0.040 0.394
23 O 0.956 0.579 0.748
24 O 0.986 0.793 0.126

---

Question: The highest ΔH_f (0 K) belongs to which entry?
Answer: MgFe3Co5O16

---

Question: Which value of total energy after the MP2020 corrections does entry 2 give?
Answer: -172.7 eV/cell

---

Question: The lowest E belongs to which entry?
Answer: Li4Ti5Mn4O18